# 1
This record from Materials Project describes an optimized crystal structure of LiLu2Tc. The functional is PBE-GGA.

Summary:
V (Å³ per atom): 20.25
Formation energy (meV per atom): -98.4
Space group: Fm-3m

abc: 4.8566 4.8566 4.8566
angles: 60.00 60.00 60.00
Element x y z (fractional)
Li1 0.0000 0.0000 0.0000
Lu1 0.2500 0.2500 0.2500
Lu2 0.7500 0.7500 0.7500
Tc1 0.5000 0.5000 0.5000

=====

# 2
This record from Materials Project describes an optimized crystal structure of AsIrS. The functional is PBE-GGA.

Summary:
Maximum piezoelectric response (C/m²): 0.1
V (Å³ per atom): 16.69
Formation energy (meV per atom): -744.8
E (MP2020) (eV/atom): -6.623
Space group: P2_13

abc: 5.8509 5.8509 5.8509
angles: 90.00 90.00 90.00
Element x y z (fractional)
As1 0.1169 0.1169 0.1169
As2 0.3831 0.8831 0.6169
As3 0.6169 0.3831 0.8831
As4 0.8831 0.6169 0.3831
Ir1 0.0038 0.5038 0.9962
Ir2 0.4962 0.4962 0.4962
Ir3 0.5038 0.9962 0.0038
Ir4 0.9962 0.0038 0.5038
S1 0.1140 0.3860 0.6140
S2 0.3860 0.6140 0.1140
S3 0.6140 0.1140 0.3860
S4 0.8860 0.8860 0.8860

=====

# 3
This record from Materials Project describes an optimized crystal structure of Ba7BrClF12. The functional is PBE-GGA.

Summary:
V (Å³ per atom): 20.46
Formation energy (meV per atom): -3902.5
E (MP2020) (eV/atom): -5.802
Space group: P-6

abc: 10.8058 10.8058 4.2495
angles: 90.00 90.00 120.00
Element x y z (fractional)
Ba1 0.0000 0.0000 0.0000
Ba2 0.1083 0.7117 0.5000
Ba3 0.2883 0.3966 0.5000
Ba4 0.4101 0.1073 0.0000
Ba5 0.6034 0.8917 0.5000
Ba6 0.6971 0.5899 0.0000
Ba7 0.8927 0.3029 0.0000
Br1 0.3333 0.6667 0.0000
Cl1 0.6667 0.3333 0.5000
F1 0.0488 0.4368 0.5000
F2 0.1216 0.2745 0.0000
F3 0.1529 0.8784 0.0000
F4 0.2181 0.1173 0.5000
F5 0.3880 0.9512 0.5000
F6 0.4313 0.3677 0.0000
F7 0.5632 0.6120 0.5000
F8 0.6323 0.0637 0.0000
F9 0.7255 0.8471 0.0000
F10 0.8827 0.1008 0.5000
F11 0.8992 0.7819 0.5000
F12 0.9363 0.5687 0.0000

=====

# 4
This record from Materials Project describes an optimized crystal structure of In5CuTe8. The functional is PBE-GGA.

Summary:
V (Å³ per atom): 36.35
Formation energy (meV per atom): -543.8
E (MP2020) (eV/atom): -3.615
Space group: C2

abc: 7.7324 7.7324 9.0171
angles: 90.05 90.05 109.29
Element x y z (fractional)
In1 0.0000 0.0000 0.0000
In2 0.5102 0.0104 0.2569
In3 0.5098 0.4902 0.0000
In4 0.9903 0.0097 0.5000
In5 0.9896 0.4898 0.7431
Cu1 0.5004 0.4996 0.5000
Te1 0.1148 0.3896 0.0221
Te2 0.1154 0.8414 0.2523
Te3 0.1424 0.3950 0.4839
Te4 0.1586 0.8846 0.7477
Te5 0.6042 0.3536 0.7318
Te6 0.6050 0.8576 0.5161
Te7 0.6104 0.8852 0.9779
Te8 0.6464 0.3958 0.2682

=====

# 5
This record from Materials Project describes an optimized crystal structure of Ce3NbS3O4. The functional is PBE-GGA.

Summary:
V (Å³ per atom): 17.61
Formation energy (meV per atom): -2970.7
E (MP2020) (eV/atom): -8.435
Space group: Pbam

abc: 7.0313 14.5743 7.5607
angles: 90.00 90.00 90.00
Element x y z (fractional)
Ce1 0.2131 0.1572 0.2468
Ce2 0.2131 0.1572 0.7532
Ce3 0.2169 0.9197 0.5000
Ce4 0.2831 0.4197 0.5000
Ce5 0.2869 0.6572 0.2468
Ce6 0.2869 0.6572 0.7532
Ce7 0.7131 0.3428 0.2468
Ce8 0.7131 0.3428 0.7532
Ce9 0.7169 0.5803 0.5000
Ce10 0.7831 0.0803 0.5000
Ce11 0.7869 0.8428 0.2468
Ce12 0.7869 0.8428 0.7532
Nb1 0.2493 0.4304 0.0000
Nb2 0.2507 0.9304 0.0000
Nb3 0.7493 0.0696 0.0000
Nb4 0.7507 0.5696 0.0000
S1 0.0000 0.5000 0.2465
S2 0.0000 0.5000 0.7535
S3 0.0066 0.7258 0.5000
S4 0.0286 0.2920 0.0000
S5 0.4714 0.7920 0.0000
S6 0.4934 0.2258 0.5000
S7 0.5000 0.0000 0.2465
S8 0.5000 0.0000 0.7535
S9 0.5066 0.7742 0.5000
S10 0.5286 0.2080 0.0000
S11 0.9714 0.7080 0.0000
S12 0.9934 0.2742 0.5000
O1 0.1234 0.8863 0.2076
O2 0.1234 0.8863 0.7924
O3 0.1330 0.0725 0.5000
O4 0.1831 0.0599 0.0000
O5 0.3169 0.5599 0.0000
O6 0.3670 0.5725 0.5000
O7 0.3766 0.3863 0.2076
O8 0.3766 0.3863 0.7924
O9 0.6234 0.6137 0.2076
O10 0.6234 0.6137 0.7924
O11 0.6330 0.4275 0.5000
O12 0.6831 0.4401 0.0000
O13 0.8169 0.9401 0.0000
O14 0.8670 0.9275 0.5000
O15 0.8766 0.1137 0.2076
O16 0.8766 0.1137 0.7924

=====

# 6
This record from Materials Project describes an optimized crystal structure of VIr. The functional is PBE-GGA.

Summary:
V (Å³ per atom): 13.94
Formation energy (meV per atom): -506.6
Space group: P4/mmm

abc: 2.7499 2.7499 3.6864
angles: 90.00 90.00 90.00
Element x y z (fractional)
V1 0.0000 0.0000 0.0000
Ir1 0.5000 0.5000 0.5000

=====

# 7
This record from Materials Project describes an optimized crystal structure of K2YHgF6. The functional is PBE-GGA.

Summary:
V (Å³ per atom): 21.40
Formation energy (meV per atom): -3072.6
E (MP2020) (eV/atom): -5.120
Space group: Fm-3m

abc: 6.7138 6.7138 6.7138
angles: 60.00 60.00 60.00
Element x y z (fractional)
K1 0.2500 0.2500 0.2500
K2 0.7500 0.7500 0.7500
Y1 0.0000 0.0000 0.0000
Hg1 0.5000 0.5000 0.5000
F1 0.2295 0.2295 0.7705
F2 0.2295 0.7705 0.2295
F3 0.2295 0.7705 0.7705
F4 0.7705 0.2295 0.2295
F5 0.7705 0.2295 0.7705
F6 0.7705 0.7705 0.2295

=====

# 8
This record from Materials Project describes an optimized crystal structure of Nb4Cr. The functional is PBE-GGA.

Summary:
V (Å³ per atom): 19.70
Formation energy (meV per atom): 1233.4
Space group: Fd-3m

abc: 6.5312 6.5312 6.5312
angles: 60.00 60.00 60.00
Element x y z (fractional)
Nb1 0.1938 0.7687 0.7687
Nb2 0.2313 0.2313 0.2313
Nb3 0.2313 0.2313 0.8062
Nb4 0.2313 0.8062 0.2313
Nb5 0.7687 0.1938 0.7687
Nb6 0.7687 0.7687 0.1938
Nb7 0.7687 0.7687 0.7687
Nb8 0.8062 0.2313 0.2313
Cr1 0.3750 0.3750 0.3750
Cr2 0.6250 0.6250 0.6250

=====

Q: What is the formation energy in the first record?
A: -98.4 meV per atom

=====

Copy entry 7 word for word.
This record from Materials Project describes an optimized crystal structure of K2YHgF6. The functional is PBE-GGA.

Summary:
V (Å³ per atom): 21.40
Formation energy (meV per atom): -3072.6
E (MP2020) (eV/atom): -5.120
Space group: Fm-3m

abc: 6.7138 6.7138 6.7138
angles: 60.00 60.00 60.00
Element x y z (fractional)
K1 0.2500 0.2500 0.2500
K2 0.7500 0.7500 0.7500
Y1 0.0000 0.0000 0.0000
Hg1 0.5000 0.5000 0.5000
F1 0.2295 0.2295 0.7705
F2 0.2295 0.7705 0.2295
F3 0.2295 0.7705 0.7705
F4 0.7705 0.2295 0.2295
F5 0.7705 0.2295 0.7705
F6 0.7705 0.7705 0.2295

=====

Q: Look up the formation energy of the second one.
A: -744.8 meV per atom

=====

Repeat the second record exactly.
This record from Materials Project describes an optimized crystal structure of AsIrS. The functional is PBE-GGA.

Summary:
Maximum piezoelectric response (C/m²): 0.1
V (Å³ per atom): 16.69
Formation energy (meV per atom): -744.8
E (MP2020) (eV/atom): -6.623
Space group: P2_13

abc: 5.8509 5.8509 5.8509
angles: 90.00 90.00 90.00
Element x y z (fractional)
As1 0.1169 0.1169 0.1169
As2 0.3831 0.8831 0.6169
As3 0.6169 0.3831 0.8831
As4 0.8831 0.6169 0.3831
Ir1 0.0038 0.5038 0.9962
Ir2 0.4962 0.4962 0.4962
Ir3 0.5038 0.9962 0.0038
Ir4 0.9962 0.0038 0.5038
S1 0.1140 0.3860 0.6140
S2 0.3860 0.6140 0.1140
S3 0.6140 0.1140 0.3860
S4 0.8860 0.8860 0.8860